This record from Materials Project describes an optimized crystal structure of B13H19. The functional is PBE.

```
data_B13H19
_chemical_formula_sum 'B52 H76'
_cell_length_a 9.358
_cell_length_b 6.685
_cell_length_c 20.204
_cell_angle_alpha 90.00
_cell_angle_beta 98.04
_cell_angle_gamma 90.00
_space_group_name_H-M_alt 'P 1 21/c 1'
_space_group_IT_number 14
loop_
_space_group_symop_operation_xyz
'x,y,z'
'-x,-y,-z'
'-x,y+1/2,-z+1/2'
'x,-y+1/2,z+1/2'
loop_
_atom_site_label
_atom_site_type_symbol
_atom_site_fract_x
_atom_site_fract_y
_atom_site_fract_z
_atom_site_occupancy
B1 B 0.013 0.049 0.359 1
B2 B 0.053 0.694 0.634 1
B3 B 0.083 0.679 0.209 1
B4 B 0.089 0.205 0.430 1
B5 B 0.095 0.043 0.906 1
B6 B 0.202 0.063 0.387 1
B7 B 0.210 0.654 0.688 1
B8 B 0.231 0.668 0.602 1
B9 B 0.250 0.193 0.912 1
B10 B 0.272 0.612 0.224 1
B11 B 0.331 0.613 0.089 1
B12 B 0.361 0.020 0.664 1
B13 B 0.371 0.739 0.164 1
H1 H 0.012 0.014 0.851 1
H2 H 0.021 0.717 0.255 1
H3 H 0.034 0.103 0.622 1
H4 H 0.070 0.165 0.486 1
H5 H 0.090 0.593 0.444 1
H6 H 0.127 0.017 0.328 1
H7 H 0.195 0.673 0.065 1
H8 H 0.210 0.027 0.875 1
H9 H 0.230 0.004 0.216 1
H10 H 0.247 0.530 0.566 1
H11 H 0.248 0.065 0.696 1
H12 H 0.278 0.573 0.908 1
H13 H 0.283 0.200 0.360 1
H14 H 0.284 0.070 0.605 1
H15 H 0.329 0.590 0.280 1
H16 H 0.357 0.156 0.949 1
H17 H 0.400 0.590 0.044 1
H18 H 0.456 0.139 0.676 1
H19 H 0.483 0.675 0.679 1
```

Crystal system: monoclinic
Total magnetic moment in μB/cell: 0.00
Theoretical density in g cm⁻³: 0.8
ΔH_f (0 K) in eV/atom: -0.16



This record from Materials Project describes an optimized crystal structure of B10H13. The functional is PBE.

```
data_B10H13
_chemical_formula_sum 'B80 H104'
_cell_length_a 7.335
_cell_length_b 15.656
_cell_length_c 16.607
_cell_angle_alpha 90.00
_cell_angle_beta 114.74
_cell_angle_gamma 90.00
_space_group_name_H-M_alt 'P 1 21/c 1'
_space_group_IT_number 14
loop_
_space_group_symop_operation_xyz
'x,y,z'
'-x,-y,-z'
'-x,y+1/2,-z+1/2'
'x,-y+1/2,z+1/2'
loop_
_atom_site_label
_atom_site_type_symbol
_atom_site_fract_x
_atom_site_fract_y
_atom_site_fract_z
_atom_site_occupancy
B1 B 0.017 0.150 0.454 1
B2 B 0.068 0.705 0.430 1
B3 B 0.087 0.684 0.959 1
B4 B 0.117 0.233 0.412 1
B5 B 0.121 0.227 0.634 1
B6 B 0.155 0.144 0.569 1
B7 B 0.176 0.522 0.645 1
B8 B 0.185 0.043 0.233 1
B9 B 0.187 0.174 0.098 1
B10 B 0.243 0.568 0.750 1
B11 B 0.278 0.176 0.502 1
B12 B 0.286 0.082 0.158 1
B13 B 0.287 0.211 0.006 1
B14 B 0.322 0.232 0.602 1
B15 B 0.366 0.599 0.669 1
B16 B 0.369 0.504 0.609 1
B17 B 0.372 0.010 0.332 1
B18 B 0.407 0.047 0.816 1
B19 B 0.424 0.095 0.273 1
B20 B 0.454 0.564 0.308 1
H1 H 0.013 0.150 0.032 1
H2 H 0.014 0.543 0.591 1
H3 H 0.035 0.074 0.232 1
H4 H 0.061 0.590 0.091 1
H5 H 0.069 0.717 0.096 1
H6 H 0.103 0.239 0.338 1
H7 H 0.115 0.187 0.940 1
H8 H 0.146 0.622 0.764 1
H9 H 0.152 0.214 0.710 1
H10 H 0.173 0.748 0.506 1
H11 H 0.185 0.073 0.599 1
H12 H 0.190 0.666 0.415 1
H13 H 0.223 0.643 0.957 1
H14 H 0.269 0.077 0.826 1
H15 H 0.331 0.503 0.532 1
H16 H 0.331 0.509 0.249 1
H17 H 0.337 0.670 0.640 1
H18 H 0.343 0.615 0.317 1
H19 H 0.386 0.012 0.406 1
H20 H 0.407 0.132 0.499 1
H21 H 0.411 0.166 0.999 1
H22 H 0.419 0.571 0.819 1
H23 H 0.454 0.102 0.765 1
H24 H 0.455 0.542 0.165 1
H25 H 0.466 0.163 0.308 1
H26 H 0.491 0.232 0.658 1
```

Crystal system: monoclinic
Total magnetic moment in μB/cell: 0.42
Theoretical density in g cm⁻³: 0.9
ΔH_f (0 K) in eV/atom: -0.18



This record from Materials Project describes an optimized crystal structure of B5H11. The functional is PBE.

```
data_B5H11
_chemical_formula_sum 'B20 H44'
_cell_length_a 7.007
_cell_length_b 8.873
_cell_length_c 12.211
_cell_angle_alpha 90.00
_cell_angle_beta 120.07
_cell_angle_gamma 90.00
_space_group_name_H-M_alt 'P 1 21/c 1'
_space_group_IT_number 14
loop_
_space_group_symop_operation_xyz
'x,y,z'
'-x,-y,-z'
'-x,y+1/2,-z+1/2'
'x,-y+1/2,z+1/2'
loop_
_atom_site_label
_atom_site_type_symbol
_atom_site_fract_x
_atom_site_fract_y
_atom_site_fract_z
_atom_site_occupancy
B1 B 0.011 0.210 0.125 1
B2 B 0.183 0.161 0.290 1
B3 B 0.208 0.050 0.181 1
B4 B 0.446 0.104 0.316 1
B5 B 0.466 0.102 0.180 1
H1 H 0.041 0.182 0.575 1
H2 H 0.088 0.213 0.738 1
H3 H 0.122 0.117 0.359 1
H4 H 0.137 0.129 0.081 1
H5 H 0.142 0.577 0.664 1
H6 H 0.176 0.673 0.413 1
H7 H 0.380 0.225 0.358 1
H8 H 0.410 0.505 0.315 1
H9 H 0.422 0.682 0.209 1
H10 H 0.430 0.204 0.108 1
H11 H 0.454 0.520 0.098 1
```

Crystal system: monoclinic
Total magnetic moment in μB/cell: 0.00
Theoretical density in g cm⁻³: 0.7
ΔH_f (0 K) in eV/atom: -0.16



| no. | corrected total energy (MP2020 scheme) (eV per cell) |
| --- | --- |
| 1 | -625.653 |
| 2 | -920.813 |
| 3 | -293.025 |